# 1
! TaGaP2SO12 PBE optimized geometry; values from VASP
&SYSTEM
  ibrav = 0, nat = 102, ntyp = 5
/
ATOMIC_SPECIES
S 32.06 S.upf
O 16.00 O.upf
Ga 69.72 Ga.upf
P 30.97 P.upf
Ta 180.95 Ta.upf
ATOMIC_POSITIONS angstrom
S -5.167 2.650 -0.460
S -6.982 -3.131 -3.316
S -7.879 -5.827 0.624
S -11.396 -5.830 3.975
S -14.109 -14.307 5.059
S -16.521 -8.205 0.375
O -0.903 -3.844 -3.588
O -15.456 -14.835 4.863
O -5.125 -10.179 -1.917
O -7.061 -5.526 -0.589
O -17.343 -10.295 6.034
O -6.387 -2.599 -4.579
O -6.316 -1.305 0.264
O -4.287 -5.218 -1.009
O -7.144 -5.626 1.857
O -6.299 3.646 -0.518
O -19.113 -9.328 4.132
O -10.471 -6.950 4.380
O -6.057 -4.251 -2.911
O -14.259 -14.450 1.169
O -2.702 0.722 -2.268
O -7.197 -6.826 -3.080
O -15.469 -6.778 4.043
O -5.854 0.014 -5.503
O -4.485 1.651 -4.164
O -8.422 -7.183 0.608
O -12.979 -7.720 1.239
O -12.929 -7.596 -1.257
O -14.813 -3.080 2.442
O -13.514 -13.775 3.796
O -8.329 -3.658 -3.513
O -10.976 -3.408 -0.838
O -13.637 -10.663 5.233
O -9.773 -14.003 0.495
O -17.583 -6.063 5.235
O -13.959 -8.921 3.455
O -2.334 -1.030 -0.589
O -4.469 -6.481 -3.517
O -12.743 -6.357 3.779
O -5.414 -7.756 -1.183
O -13.688 -11.885 0.246
O -10.269 -2.684 1.789
O -4.527 -0.986 -1.809
O -9.545 -6.222 -3.836
O -5.981 -3.109 2.006
O -10.801 -5.298 2.712
O -8.204 0.047 -1.087
O -2.904 -3.594 0.333
O -9.223 -7.964 -2.058
O -11.612 -9.525 4.212
O -5.709 1.295 -0.476
O -15.478 -12.291 2.391
O -9.029 -9.783 1.348
O -2.422 -7.214 -4.653
O -2.729 -2.927 -5.435
O -17.671 -12.161 1.100
O -11.546 -5.972 0.084
O -13.629 -16.908 1.082
O -17.336 -13.965 2.842
O -6.510 0.513 -3.142
O -7.239 -9.463 -0.724
O -14.056 -10.134 -1.432
O -10.266 0.757 0.155
O -10.917 -8.431 -0.003
O -2.413 -1.701 -3.001
O -12.981 -11.162 2.873
O -14.623 -5.487 1.758
O -9.011 -4.832 0.566
O -4.348 2.952 -1.673
O -15.786 -8.004 1.609
O -14.137 -13.320 6.121
O -7.010 -2.144 -2.255
O -11.724 -13.309 1.651
O -17.064 -9.561 0.360
O -17.526 -11.558 3.526
O -9.723 -10.621 -1.171
O -15.692 -16.198 2.323
O -12.766 -3.814 1.306
Ga -6.363 -0.395 -1.453
Ga -13.490 -11.571 6.923
Ga -14.218 -7.203 2.618
Ga -9.075 -8.873 -0.369
Ga -11.505 1.275 1.534
Ga -1.161 -2.126 -4.426
P -5.678 -1.700 1.563
P -17.032 -12.555 2.399
P -5.955 1.145 -4.402
P -9.352 1.020 -1.023
P -5.754 -9.269 -0.902
P -3.041 -0.792 -1.986
P -14.320 -4.078 1.315
P -8.668 -7.332 -3.318
P -14.778 -15.935 1.145
P -12.065 -7.457 0.061
P -16.098 -5.869 5.057
P -13.082 -10.031 3.974
Ta -16.005 -2.667 3.867
Ta -13.651 -12.737 1.948
Ta -18.718 -11.145 4.951
Ta -2.296 -1.882 1.112
Ta -10.938 -4.260 0.864
Ta -5.661 -6.068 -2.092
CELL_PARAMETERS angstrom
-5.929 6.099 -1.332
1.702 -5.779 -6.208
-15.769 -13.554 8.127
! Size of the total moment: 0.00 μB per cell
! DFT total energy: -7.34 eV per atom

# 2
! ZrGaPS2O12 PBE optimized geometry; values from VASP
&SYSTEM
  ibrav = 0, nat = 102, ntyp = 5
/
ATOMIC_SPECIES
O 16.00 O.upf
S 32.06 S.upf
P 30.97 P.upf
Ga 69.72 Ga.upf
Zr 91.22 Zr.upf
ATOMIC_POSITIONS angstrom
O -3.386 6.271 9.212
O 5.391 3.890 9.564
O -1.009 6.403 5.812
O -0.575 6.483 12.928
O 3.386 6.226 20.504
O 5.384 1.152 0.696
O 2.819 2.209 16.695
O -0.557 1.319 20.425
O 5.514 3.822 3.077
O 3.423 1.214 5.450
O 3.671 0.861 20.869
O -2.679 7.365 4.430
O 5.087 4.069 0.682
O 5.105 5.990 2.031
O 3.783 0.872 14.392
O 7.056 0.240 18.149
O -2.777 7.244 20.500
O 0.553 3.400 10.642
O -3.435 6.194 15.701
O 0.772 3.427 17.090
O -1.586 4.840 1.667
O 1.127 1.262 18.135
O 5.343 1.168 16.742
O 0.985 3.663 8.168
O 4.930 5.984 18.200
O 1.703 5.215 5.822
O 7.030 0.149 2.048
O 6.066 2.564 20.909
O 1.009 6.357 17.105
O 5.095 0.907 9.577
O -0.985 3.796 12.972
O 0.985 3.842 1.680
O 6.024 2.764 14.425
O 0.575 6.529 1.636
O 0.557 1.365 9.133
O 1.710 0.285 6.856
O 6.023 2.286 11.937
O 0.975 1.358 2.092
O 3.252 3.776 14.369
O 5.946 2.255 5.403
O 3.678 4.023 11.974
O 2.700 2.610 9.617
O 0.693 1.506 15.743
O -1.689 4.842 8.200
O 1.069 6.312 10.610
O 1.736 0.103 13.340
O -1.703 5.169 17.114
O -0.693 1.552 4.450
O 3.381 1.107 11.988
O 2.743 2.332 0.645
O 3.435 6.240 4.409
O -0.553 3.354 21.935
O 7.638 1.308 6.842
O -0.677 6.512 19.497
O 2.777 7.290 9.208
O 4.983 0.918 3.100
O -1.692 5.314 10.604
O -1.069 6.267 21.902
O 1.692 5.268 21.896
O -0.985 3.617 19.461
O 3.660 5.944 13.323
O 2.742 2.809 3.133
O 3.374 3.844 20.856
O 1.689 4.796 19.492
O 4.912 3.920 16.751
O 7.790 1.312 13.384
O -0.772 3.472 5.798
O 0.677 6.558 8.205
O 2.679 7.319 15.723
O 3.854 3.966 5.459
O 3.835 6.029 6.908
O 1.586 4.794 12.959
S 5.744 4.654 1.876
S 1.385 2.072 16.930
S 6.224 0.009 16.951
S 1.339 7.124 9.414
S 3.021 4.608 13.168
S 3.219 0.236 13.185
S -1.339 7.078 20.706
S -2.521 5.104 9.396
S 2.542 0.055 5.659
S 2.520 5.059 20.688
S 7.381 2.118 5.638
S 5.546 0.282 1.893
P 5.520 5.310 16.950
P 3.246 5.355 5.657
P 1.865 2.609 1.886
P 1.173 2.737 9.404
P 6.901 2.563 13.178
P -1.173 2.691 20.697
Ga -4.372 7.524 7.948
Ga 4.513 2.551 15.512
Ga -0.041 4.832 11.722
Ga 0.041 4.878 0.430
Ga 4.253 2.596 4.220
Ga 4.372 7.478 19.240
Zr 4.391 2.473 10.727
Zr 4.374 2.427 22.019
Zr 0.015 -0.050 14.498
Zr 8.750 -0.004 3.206
Zr 0.089 4.973 6.951
Zr -0.089 4.927 18.243
CELL_PARAMETERS angstrom
8.766 0.000 0.000
-4.383 7.567 -0.031
0.000 -0.091 22.584
! Size of the total moment: 0.00 μB per cell
! DFT total energy: -6.93 eV per atom

# 3
! Ta3GaP6O24 PBE optimized geometry; values from VASP
&SYSTEM
  ibrav = 0, nat = 102, ntyp = 4
/
ATOMIC_SPECIES
O 16.00 O.upf
Ga 69.72 Ga.upf
Ta 180.95 Ta.upf
P 30.97 P.upf
ATOMIC_POSITIONS angstrom
O -1.592 4.788 8.115
O 4.917 0.982 3.124
O -0.599 1.491 4.380
O 5.350 3.802 9.593
O 3.373 3.799 20.803
O 3.355 1.259 11.877
O 0.593 1.497 15.606
O 3.361 6.275 4.380
O 2.787 7.337 9.167
O 5.989 2.788 14.385
O 7.715 1.289 13.333
O 5.940 2.323 5.391
O 0.589 6.524 8.115
O 3.769 5.998 6.878
O 4.962 4.000 0.629
O 2.760 2.297 0.629
O 2.737 2.732 9.593
O -0.964 3.734 12.871
O 4.968 6.050 18.078
O 0.618 3.518 17.078
O 5.336 1.242 0.629
O 1.598 5.256 21.827
O 3.375 6.255 20.363
O -0.993 3.762 19.345
O -1.615 4.827 1.622
O -0.637 6.507 12.871
O 5.312 1.261 16.660
O -0.598 6.518 19.345
O 3.394 1.234 5.391
O 1.591 4.798 19.345
O 0.608 1.457 9.167
O 4.957 3.970 16.660
O -0.994 6.308 5.829
O 2.760 7.304 15.606
O 1.627 0.265 6.878
O 0.972 1.275 2.059
O -2.762 7.313 4.380
O 4.970 1.004 9.593
O 3.773 0.959 14.385
O 0.997 6.315 17.078
O -1.615 5.245 17.078
O 5.397 3.767 3.124
O 0.982 1.277 18.078
O 3.732 6.037 13.333
O 7.115 0.204 2.059
O 1.607 5.246 5.829
O 4.971 6.060 2.059
O 7.663 1.276 6.878
O 1.612 0.214 13.333
O 3.729 1.022 20.803
O -0.600 3.527 21.827
O 2.789 2.308 16.660
O 5.956 2.719 20.803
O -3.395 6.285 9.167
O 3.765 4.004 11.877
O -0.623 1.489 20.363
O 0.980 3.727 1.622
O 0.616 3.537 10.590
O 0.635 6.525 1.622
O 3.724 3.983 5.391
O 0.982 6.304 10.590
O 5.938 2.277 11.877
O -0.613 3.524 5.829
O -2.752 7.334 20.363
O 1.601 4.837 12.871
O 1.002 3.767 8.115
O 2.744 2.791 3.124
O 7.109 0.212 18.078
O 3.297 3.792 14.385
O -1.598 5.237 10.590
O -0.998 6.295 21.827
O -3.353 6.277 15.606
Ga 4.353 2.513 4.322
Ga 0.000 0.000 7.951
Ga 4.353 2.513 15.450
Ta 4.353 2.513 21.978
Ta 0.000 5.026 0.601
Ta 0.000 0.000 19.197
Ta 0.000 5.026 6.890
Ta 0.000 0.000 14.382
Ta 0.000 5.026 11.710
Ta 0.000 0.000 3.304
Ta 0.000 5.026 18.115
Ta 4.353 2.513 10.635
P 2.487 0.067 5.659
P 3.161 0.390 13.133
P 3.110 4.606 13.133
P 3.167 5.352 5.659
P 7.404 2.121 5.659
P 1.193 2.825 9.313
P 2.468 5.025 20.589
P 5.557 4.650 1.934
P 1.900 2.487 1.934
P 6.201 0.068 16.806
P -1.235 2.890 20.589
P -1.233 7.164 20.589
P -2.503 5.093 9.313
P 1.312 2.135 16.806
P 6.787 2.543 13.133
P 5.546 5.336 16.806
P 5.602 0.402 1.934
P 1.310 7.160 9.313
CELL_PARAMETERS angstrom
8.706 0.000 0.000
-4.353 7.539 0.000
0.000 0.000 22.464
! Size of the total moment: 0.00 μB per cell
! DFT total energy: -8.02 eV per atom

# 4
! Ga2PbO4 PBE optimized geometry; values from VASP
&SYSTEM
  ibrav = 0, nat = 14, ntyp = 3
/
ATOMIC_SPECIES
O 16.00 O.upf
Ga 69.72 Ga.upf
Pb 207.20 Pb.upf
ATOMIC_POSITIONS angstrom
O 1.014 1.742 4.867
O 1.014 1.742 8.192
O 3.606 0.000 4.353
O 1.014 -1.742 3.839
O 3.610 1.820 6.530
O 3.610 -1.820 2.177
O 1.014 -1.742 0.514
O 3.606 0.000 0.000
Ga 2.864 -1.641 3.896
Ga 2.864 1.641 4.810
Ga 2.864 -1.641 0.457
Ga 2.864 1.641 8.249
Pb 2.659 -4.485 6.530
Pb 2.659 4.485 2.177
CELL_PARAMETERS angstrom
2.665 -4.758 0.000
2.665 4.758 0.000
0.000 0.000 8.706
! Maximum piezoelectric response: 1.07 C/m2
! DFT total energy: -5.90 eV per atom